## LiFe4P7O24 (GGA+U)

Data for an optimized crystal structure of LiFe4P7O24.

Computed properties:
**Calculated volume**: 12.565 Å³/atom
**DFT formation energy**: -2.412 eV per atom
**Space-group type**: P-1, No. 2

a = 10.2431 Å, b = 10.3147 Å, c = 10.7436 Å
α = 108.80°, β = 111.22°, γ = 105.21°
Closest atoms and distances in Å follow each position.
Fractional coordinates of all 72 atoms:
Li  0.0513  0.2465  0.1701  4 O 2.67-2.99
Li  0.9487  0.7535  0.8299  4 O 2.67-2.99
Fe  0.0002  0.1004  0.7568  6 O 1.96-2.13
Fe  0.9998  0.8996  0.2432  6 O 1.96-2.13
Fe  0.0124  0.6604  0.3889  5 O 1.93-2.16
Fe  0.4852  0.8234  0.9078  4 O 1.91-2.01
Fe  0.4999  0.3827  0.5759  5 O 1.95-2.08
Fe  0.5001  0.6173  0.4241  5 O 1.95-2.08
Fe  0.5148  0.1766  0.0922  4 O 1.91-2.01
Fe  0.9876  0.3396  0.6111  5 O 1.93-2.16
P  0.2315  0.1789  0.6179  4 O 1.51-1.61
P  0.2405  0.9648  0.7427  4 O 1.51-1.61
P  0.2491  0.5391  0.5487  4 O 1.53-1.58
P  0.2504  0.6093  0.9782  4 O 1.50-1.62
P  0.2720  0.7813  0.2748  4 O 1.49-1.61
P  0.3037  0.0591  0.2382  4 O 1.51-1.65
P  0.3053  0.3769  0.0674  4 O 1.52-1.64
P  0.6947  0.6231  0.9326  4 O 1.52-1.64
P  0.6963  0.9409  0.7618  4 O 1.51-1.65
P  0.7280  0.2187  0.7252  4 O 1.49-1.61
P  0.7496  0.3907  0.0218  4 O 1.50-1.62
P  0.7509  0.4609  0.4513  4 O 1.53-1.58
P  0.7595  0.0352  0.2573  4 O 1.51-1.61
P  0.7685  0.8211  0.3821  4 O 1.51-1.61
O  0.1058  0.5075  0.8285  1 P 1.50
O  0.1200  0.2179  0.6768  1 P 1.57
O  0.1234  0.9868  0.7966  1 P 1.54
O  0.1250  0.9830  0.1593  1 P 1.54
O  0.1304  0.2752  0.9658  1 P 1.54
O  0.1353  0.4063  0.5473  1 P 1.54
O  0.1349  0.7818  0.3018  1 P 1.53
O  0.1427  0.0629  0.4530  1 P 1.51
O  0.1507  0.5613  0.4161  1 P 1.55
O  0.1629  0.8254  0.5926  1 P 1.51
O  0.1909  0.6621  0.0988  2 P 1.61-1.62
O  0.3134  0.1073  0.7184  2 P 1.61
O  0.3342  0.4398  0.2297  1 P 1.53
O  0.3355  0.6790  0.7028  1 P 1.53
O  0.3467  0.5209  0.0309  2 P 1.59-1.64
O  0.3543  0.0668  0.1244  1 P 1.51
O  0.3558  0.7531  0.9938  1 P 1.50
O  0.3627  0.9441  0.2946  2 P 1.59-1.65
O  0.3664  0.3194  0.6588  1 P 1.52
O  0.3724  0.2095  0.3753  1 P 1.51
O  0.3722  0.4979  0.5097  1 P 1.58
O  0.3813  0.9750  0.8708  1 P 1.54
O  0.3867  0.7450  0.3723  1 P 1.49
O  0.4100  0.3052  0.0393  1 P 1.52
O  0.5900  0.6948  0.9607  1 P 1.52
O  0.6133  0.2550  0.6277  1 P 1.49
O  0.6187  0.0250  0.1292  1 P 1.54
O  0.6278  0.5021  0.4903  1 P 1.58
O  0.6276  0.7905  0.6247  1 P 1.51
O  0.6336  0.6806  0.3412  1 P 1.52
O  0.6373  0.0559  0.7054  2 P 1.59-1.65
O  0.6442  0.2469  0.0062  1 P 1.50
O  0.6457  0.9332  0.8756  1 P 1.51
O  0.6533  0.4791  0.9691  2 P 1.59-1.64
O  0.6645  0.3210  0.2972  1 P 1.53
O  0.6658  0.5602  0.7703  1 P 1.53
O  0.6866  0.8927  0.2816  2 P 1.61
O  0.8091  0.3379  0.9012  2 P 1.61-1.62
O  0.8371  0.1746  0.4074  1 P 1.51
O  0.8493  0.4387  0.5839  1 P 1.55
O  0.8573  0.9371  0.5470  1 P 1.51
O  0.8651  0.2182  0.6982  1 P 1.53
O  0.8647  0.5937  0.4527  1 P 1.54
O  0.8696  0.7248  0.0342  1 P 1.54
O  0.8750  0.0170  0.8407  1 P 1.54
O  0.8766  0.0132  0.2034  1 P 1.54
O  0.8800  0.7821  0.3232  1 P 1.57
O  0.8942  0.4925  0.1715  1 P 1.50